(1)
# Cs2HgI4

Crystalline Cs2HgI4 at its relaxed geometry (PBE, the Materials Project).

Properties
- ΔE_f: -8.85 eV per formula unit
- Magnetic moment: 0.00 Bohr magnetons per cell
- Energy with MP2020 corrections: -2.435 eV/atom

a b c (Å): 8.121 8.657 11.307
angles (deg): 90.00 110.39 90.00
Space group P2_1 (No. 4)
Inequivalent atoms, fractional coordinates:
Cs 0.193 0.000 0.407 [2 per cell]
Cs 0.306 0.006 0.966 [2 per cell]
Hg 0.320 0.505 0.227 [2 per cell]
I 0.075 0.501 0.354 [2 per cell]
I 0.143 0.496 0.956 [2 per cell]
I 0.458 0.267 0.717 [2 per cell]
I 0.461 0.739 0.710 [2 per cell]

***

(2)
# LiMg4H13Os2

Crystalline LiMg4H13Os2 at its relaxed geometry (PBE, the Materials Project).

Properties
- ΔE_f: -6.66 eV per formula unit
- Magnetic moment: 0.00 Bohr magnetons per cell

a b c (Å): 4.7275 4.7275 18.4853
angles (deg): 90.00 90.00 120.00
Space group P6_3/mmc (No. 194)
Inequivalent atoms, fractional coordinates:
Li 0.3333 0.6667 0.2500 [2 per cell]
Mg 0.0000 0.0000 0.1487 [4 per cell]
Mg 0.3333 0.6667 0.5520 [4 per cell]
H 0.0000 0.0000 0.2500 [2 per cell]
H 0.0043 0.5022 0.1605 [12 per cell]
H 0.1637 0.3274 0.0512 [12 per cell]
Os 0.3333 0.6667 0.1043 [4 per cell]

***

(3)
# KY2Cl7

Crystalline KY2Cl7 at its relaxed geometry (PBE, the Materials Project).

Properties
- ΔE_f: -26.66 eV per formula unit
- Energy with MP2020 corrections: -5.364 eV/atom

a b c (Å): 6.975 12.666 13.550
angles (deg): 90.00 90.85 90.00
Space group P2_1/c (No. 14)
Inequivalent atoms, fractional coordinates:
K 0.249 0.200 0.037 [4 per cell]
Y 0.224 0.538 0.238 [4 per cell]
Y 0.272 0.659 0.748 [4 per cell]
Cl 0.002 0.704 0.176 [4 per cell]
Cl 0.022 0.574 0.876 [4 per cell]
Cl 0.054 0.525 0.636 [4 per cell]
Cl 0.253 0.686 0.389 [4 per cell]
Cl 0.457 0.088 0.625 [4 per cell]
Cl 0.465 0.057 0.868 [4 per cell]
Cl 0.483 0.679 0.175 [4 per cell]

***

(4)
# RbNa2Ge17

Crystalline RbNa2Ge17 at its relaxed geometry (PBE, the Materials Project).

Properties
- ΔE_f: -1.37 eV per formula unit

a b c (Å): 15.823 15.823 15.823
angles (deg): 90.00 90.00 90.00
Space group Fd-3m (No. 227, origin choice 2)
Inequivalent atoms, fractional coordinates:
Rb 0.125 0.125 0.125 [8 per cell]
Na 0.000 0.000 0.500 [16 per cell]
Ge 0.033 0.033 0.717 [32 per cell]
Ge 0.068 0.068 0.870 [96 per cell]
Ge 0.125 0.125 0.625 [8 per cell]

***

(5)
# GdC2

Crystalline GdC2 at its relaxed geometry (PBE, the Materials Project).

Properties
- ΔE_f: -0.53 eV per formula unit

a b c (Å): 3.734 3.734 6.281
angles (deg): 90.00 90.00 90.00
Space group I4/mmm (No. 139)
Inequivalent atoms, fractional coordinates:
Gd 0.000 0.000 0.000 [2 per cell]
C 0.000 0.000 0.396 [4 per cell]

***

(6)
# Na6Ca2Mg2SiS5O24

Crystalline Na6Ca2Mg2SiS5O24 at its relaxed geometry (PBE, the Materials Project).

Properties
- ΔE_f: -97.86 eV per formula unit
- Magnetic moment: 0.00 Bohr magnetons per cell
- Energy with MP2020 corrections: -6.447 eV/atom

a b c (Å): 9.181 9.192 22.534
angles (deg): 89.94 90.00 60.30
Space group P1 (No. 1)
Inequivalent atoms, fractional coordinates:
Na 0.000 0.000 0.000 [1 per cell]
Na 0.001 0.631 0.253 [1 per cell]
Na 0.009 0.660 0.763 [1 per cell]
Na 0.027 0.281 0.851 [1 per cell]
Na 0.050 0.918 0.336 [1 per cell]
Na 0.297 0.669 0.845 [1 per cell]
Na 0.310 0.317 0.331 [1 per cell]
Na 0.334 0.966 0.926 [1 per cell]
Na 0.338 0.599 0.182 [1 per cell]
Na 0.355 0.925 0.423 [1 per cell]
Na 0.380 0.624 0.499 [1 per cell]
Na 0.646 0.965 0.506 [1 per cell]
Na 0.652 0.657 0.352 [1 per cell]
Na 0.666 0.301 0.593 [1 per cell]
Na 0.669 0.298 0.090 [1 per cell]
Na 0.691 0.939 0.841 [1 per cell]
Na 0.702 0.598 0.666 [1 per cell]
Na 0.981 0.294 0.516 [1 per cell]
Ca 0.000 0.630 0.407 [1 per cell]
Ca 0.006 0.631 0.613 [1 per cell]
Ca 0.331 0.962 0.580 [1 per cell]
Ca 0.342 0.960 0.263 [1 per cell]
Ca 0.663 0.310 0.437 [1 per cell]
Ca 0.676 0.280 0.748 [1 per cell]
Mg 0.001 0.632 0.914 [1 per cell]
Mg 0.322 0.968 0.777 [1 per cell]
Mg 0.343 0.966 0.076 [1 per cell]
Mg 0.662 0.305 0.239 [1 per cell]
Mg 0.679 0.291 0.941 [1 per cell]
Mg 0.999 0.628 0.104 [1 per cell]
Si 0.362 0.604 0.336 [1 per cell]
Si 0.692 0.630 0.510 [1 per cell]
Si 0.977 0.985 0.849 [1 per cell]
S 0.002 0.333 0.008 [1 per cell]
S 0.026 0.962 0.170 [1 per cell]
S 0.032 0.270 0.679 [1 per cell]
S 0.300 0.631 0.010 [1 per cell]
S 0.307 0.323 0.507 [1 per cell]
S 0.333 0.275 0.172 [1 per cell]
S 0.339 0.661 0.681 [1 per cell]
S 0.366 0.299 0.847 [1 per cell]
S 0.630 0.963 0.680 [1 per cell]
S 0.645 0.657 0.171 [1 per cell]
S 0.669 0.003 0.339 [1 per cell]
S 0.671 0.598 0.844 [1 per cell]
S 0.704 0.926 0.009 [1 per cell]
S 0.968 0.293 0.337 [1 per cell]
S 0.999 0.939 0.507 [1 per cell]
O 0.007 0.792 0.856 [1 per cell]
O 0.016 0.804 0.163 [1 per cell]
O 0.017 0.411 0.952 [1 per cell]
O 0.018 0.439 0.685 [1 per cell]
O 0.022 0.845 0.451 [1 per cell]
O 0.108 0.192 0.621 [1 per cell]
O 0.119 0.982 0.119 [1 per cell]
O 0.125 0.934 0.226 [1 per cell]
O 0.130 0.166 0.730 [1 per cell]
O 0.141 0.974 0.510 [1 per cell]
O 0.143 0.153 0.331 [1 per cell]
O 0.152 0.158 0.013 [1 per cell]
O 0.164 0.972 0.839 [1 per cell]
O 0.174 0.622 0.334 [1 per cell]
O 0.185 0.448 0.164 [1 per cell]
O 0.191 0.437 0.858 [1 per cell]
O 0.191 0.638 0.684 [1 per cell]
O 0.194 0.652 0.957 [1 per cell]
O 0.218 0.611 0.064 [1 per cell]
O 0.222 0.437 0.557 [1 per cell]
O 0.223 0.400 0.450 [1 per cell]
O 0.304 0.162 0.512 [1 per cell]
O 0.308 0.792 0.015 [1 per cell]
O 0.313 0.215 0.231 [1 per cell]
O 0.337 0.764 0.732 [1 per cell]
O 0.341 0.741 0.624 [1 per cell]
O 0.344 0.159 0.125 [1 per cell]
O 0.344 0.793 0.335 [1 per cell]
O 0.361 0.138 0.839 [1 per cell]
O 0.424 0.346 0.792 [1 per cell]
O 0.453 0.528 0.400 [1 per cell]
O 0.468 0.484 0.280 [1 per cell]
O 0.471 0.484 0.004 [1 per cell]
O 0.481 0.274 0.897 [1 per cell]
O 0.485 0.283 0.507 [1 per cell]
O 0.489 0.291 0.172 [1 per cell]
O 0.498 0.496 0.681 [1 per cell]
O 0.503 0.797 0.510 [1 per cell]
O 0.511 0.993 0.334 [1 per cell]
O 0.517 0.761 0.126 [1 per cell]
O 0.523 0.773 0.839 [1 per cell]
O 0.525 0.965 0.730 [1 per cell]
O 0.533 0.948 0.017 [1 per cell]
O 0.552 0.961 0.622 [1 per cell]
O 0.589 0.739 0.231 [1 per cell]
O 0.636 0.509 0.892 [1 per cell]
O 0.651 0.113 0.679 [1 per cell]
O 0.651 0.490 0.173 [1 per cell]
O 0.662 0.079 0.398 [1 per cell]
O 0.677 0.458 0.513 [1 per cell]
O 0.682 0.104 0.290 [1 per cell]
O 0.693 0.096 0.006 [1 per cell]
O 0.698 0.507 0.787 [1 per cell]
O 0.775 0.832 0.952 [1 per cell]
O 0.779 0.646 0.449 [1 per cell]
O 0.796 0.806 0.685 [1 per cell]
O 0.803 0.619 0.569 [1 per cell]
O 0.814 0.634 0.160 [1 per cell]
O 0.817 0.831 0.336 [1 per cell]
O 0.820 0.834 0.058 [1 per cell]
O 0.826 0.609 0.855 [1 per cell]
O 0.839 0.101 0.507 [1 per cell]
O 0.846 0.062 0.794 [1 per cell]
O 0.847 0.315 0.007 [1 per cell]
O 0.857 0.111 0.175 [1 per cell]
O 0.857 0.296 0.679 [1 per cell]
O 0.859 0.296 0.289 [1 per cell]
O 0.893 0.111 0.907 [1 per cell]
O 0.908 0.268 0.396 [1 per cell]
O 0.970 0.455 0.336 [1 per cell]
O 0.993 0.436 0.059 [1 per cell]
O 0.996 0.842 0.558 [1 per cell]

***

Q: Which value of ΔE_f does entry 2 give?
A: -6.66 eV per formula unit